Record 1
VASP calculation (GGA-PBE) on a geometry-optimized Tm5In4Ni2 structure.

Summary:
* total moment: 0.000 μB/f.u.

Cell: 7.977 17.826 3.520 Å, 90.00 90.00 90.00°
Fractional positions:
Tm  0.000  0.000  0.000
Tm  0.118  0.413  0.000
Tm  0.246  0.221  0.000
Tm  0.254  0.721  0.000
Tm  0.382  0.913  0.000
Tm  0.500  0.500  0.000
Tm  0.618  0.087  0.000
Tm  0.746  0.279  0.000
Tm  0.754  0.779  0.000
Tm  0.882  0.587  0.000
In  0.073  0.848  0.500
In  0.206  0.570  0.500
In  0.294  0.070  0.500
In  0.427  0.348  0.500
In  0.573  0.652  0.500
In  0.706  0.930  0.500
In  0.794  0.430  0.500
In  0.927  0.152  0.500
Ni  0.025  0.305  0.500
Ni  0.475  0.805  0.500
Ni  0.525  0.195  0.500
Ni  0.975  0.695  0.500

***

Record 2
VASP calculation (GGA-PBE) on a geometry-optimized Tm2InNi2 structure.

Cell: 7.282 7.282 3.540 Å, 90.00 90.00 148.41°
Fractional positions:
Tm  0.140  0.860  0.000
Tm  0.860  0.140  0.000
In  0.500  0.500  0.500
Ni  0.302  0.698  0.500
Ni  0.698  0.302  0.500

***

| no. | calculated density (g/cm³) | uncorrected energy (eV per atom) | formation enthalpy at 0 K (meV per atom) |
| --- | --- | --- | --- |
| 1 | 9.43 | -4.608 | -522 |
| 2 | 9.63 | -5.202 | -549 |